1.
The following is a DFT calculation (GGA-PBE) of an optimized crystal structure of Ti3Te.

a = 5.8192 Å, b = 5.8192 Å, c = 4.8189 Å
α = 90.00°, β = 90.00°, γ = 120.00°
With the nearest neighbours (Å) after each atom.
Space group P6_3/mmc (No. 194)
Symmetry-distinct sites (fractional):
Ti  0.1611  0.3222  0.2500 x6  8 Ti 2.81-3.01, 4 Te 2.91-2.97
Te  0.3333  0.6667  0.7500 x2  12 Ti 2.91-2.97

Total magnetic moment in μB/f.u.: 0.0
E (MP2020) in eV per formula unit: -28.29
Energy in eV per cell: -55.734
E_form in meV/atom: -365
V in Å³/atom: 17.7

2.
The following is a DFT calculation (GGA-PBE) of an optimized crystal structure of Ti3Te4.

a = 14.4126 Å, b = 3.8138 Å, c = 7.0807 Å
α = 90.00°, β = 119.09°, γ = 90.00°
With the nearest neighbours (Å) after each atom.
Space group C2/m (No. 12)
Symmetry-distinct sites (fractional):
Ti  0.0000  0.0000  0.0000 x2  6 Te 2.77-2.84
Ti  0.2472  0.0000  0.2952 x4  6 Te 2.72-3.02
Te  0.1070  0.0000  0.4485 x4  4 Ti 2.72-2.77
Te  0.1348  0.5000  0.9590 x4  5 Ti 2.84-3.02

E (MP2020) in eV per formula unit: -42.99
Energy in eV per cell: -82.594
E_form in meV/atom: -961
V in Å³/atom: 24.3

- Which formula does entry 2 have?
  Ti3Te4

- Which formula does entry 1 have?
  Ti3Te